[1]
Crystalline Li2B5SbO10 at its relaxed geometry. Source: Materials Project, functional PBE.

- Total energy: -131.04 eV/f.u.
- Space group: P2_1/c, No. 14
- M_tot: 0.000 μB/f.u.
- Formation energy: -2.616 eV per atom

Cell lengths 7.108, 16.310, 6.956 Å; angles 90.00, 95.59, 90.00 degrees
Element x y z (fractional)
Li: 0.106 0.157 0.032
Li: 0.106 0.343 0.532
Li: 0.324 0.591 0.084
Li: 0.324 0.909 0.584
Li: 0.676 0.091 0.416
Li: 0.676 0.409 0.916
Li: 0.894 0.657 0.468
Li: 0.894 0.843 0.968
B: 0.198 0.025 0.896
B: 0.198 0.475 0.396
B: 0.225 0.736 0.977
B: 0.225 0.764 0.477
B: 0.260 0.517 0.736
B: 0.260 0.983 0.236
B: 0.317 0.616 0.475
B: 0.317 0.884 0.975
B: 0.453 0.227 0.075
B: 0.453 0.273 0.575
B: 0.547 0.727 0.425
B: 0.547 0.773 0.925
B: 0.683 0.116 0.025
B: 0.683 0.384 0.525
B: 0.740 0.017 0.764
B: 0.740 0.483 0.264
B: 0.775 0.236 0.523
B: 0.775 0.264 0.023
B: 0.802 0.525 0.604
B: 0.802 0.975 0.104
Sb: 0.168 0.133 0.509
Sb: 0.168 0.367 0.009
Sb: 0.832 0.633 0.991
Sb: 0.832 0.867 0.491
O: 0.108 0.670 0.988
O: 0.108 0.830 0.488
O: 0.156 0.094 0.784
O: 0.156 0.406 0.284
O: 0.168 0.684 0.462
O: 0.168 0.816 0.962
O: 0.176 0.039 0.093
O: 0.176 0.461 0.593
O: 0.251 0.550 0.334
O: 0.251 0.950 0.834
O: 0.255 0.000 0.426
O: 0.255 0.500 0.926
O: 0.275 0.250 0.118
O: 0.275 0.250 0.618
O: 0.345 0.585 0.671
O: 0.345 0.915 0.171
O: 0.419 0.715 0.985
O: 0.419 0.785 0.485
O: 0.492 0.647 0.407
O: 0.492 0.853 0.907
O: 0.508 0.147 0.093
O: 0.508 0.353 0.593
O: 0.581 0.215 0.515
O: 0.581 0.285 0.015
O: 0.655 0.085 0.829
O: 0.655 0.415 0.329
O: 0.725 0.750 0.382
O: 0.725 0.750 0.882
O: 0.745 0.000 0.574
O: 0.745 0.500 0.074
O: 0.749 0.050 0.166
O: 0.749 0.450 0.666
O: 0.824 0.539 0.407
O: 0.824 0.961 0.907
O: 0.832 0.184 0.038
O: 0.832 0.316 0.538
O: 0.844 0.594 0.716
O: 0.844 0.906 0.216
O: 0.892 0.170 0.512
O: 0.892 0.330 0.012

[2]
Crystalline Ba4GeAs4 at its relaxed geometry. Source: Materials Project, functional PBE.

- Total energy: -39.71 eV/f.u.
- Space group: P-43n, No. 218
- Formation energy: -0.975 eV per atom

Cell lengths 13.570, 13.570, 13.570 Å; angles 90.00, 90.00, 90.00 degrees
Element x y z (fractional)
Ba: 0.097 0.131 0.643
Ba: 0.097 0.869 0.357
Ba: 0.131 0.357 0.903
Ba: 0.131 0.643 0.097
Ba: 0.143 0.143 0.143
Ba: 0.143 0.369 0.403
Ba: 0.143 0.631 0.597
Ba: 0.143 0.857 0.857
Ba: 0.357 0.097 0.869
Ba: 0.357 0.357 0.643
Ba: 0.357 0.643 0.357
Ba: 0.357 0.903 0.131
Ba: 0.369 0.403 0.143
Ba: 0.369 0.597 0.857
Ba: 0.403 0.143 0.369
Ba: 0.403 0.857 0.631
Ba: 0.597 0.143 0.631
Ba: 0.597 0.857 0.369
Ba: 0.631 0.403 0.857
Ba: 0.631 0.597 0.143
Ba: 0.643 0.097 0.131
Ba: 0.643 0.357 0.357
Ba: 0.643 0.643 0.643
Ba: 0.643 0.903 0.869
Ba: 0.857 0.143 0.857
Ba: 0.857 0.369 0.597
Ba: 0.857 0.631 0.403
Ba: 0.857 0.857 0.143
Ba: 0.869 0.357 0.097
Ba: 0.869 0.643 0.903
Ba: 0.903 0.131 0.357
Ba: 0.903 0.869 0.643
Ge: 0.000 0.000 0.000
Ge: 0.000 0.500 0.250
Ge: 0.000 0.500 0.750
Ge: 0.250 0.000 0.500
Ge: 0.500 0.250 0.000
Ge: 0.500 0.500 0.500
Ge: 0.500 0.750 0.000
Ge: 0.750 0.000 0.500
As: 0.105 0.385 0.649
As: 0.105 0.615 0.351
As: 0.107 0.107 0.893
As: 0.107 0.893 0.107
As: 0.115 0.395 0.149
As: 0.115 0.605 0.851
As: 0.149 0.115 0.395
As: 0.149 0.885 0.605
As: 0.351 0.105 0.615
As: 0.351 0.895 0.385
As: 0.385 0.351 0.895
As: 0.385 0.649 0.105
As: 0.393 0.393 0.393
As: 0.393 0.607 0.607
As: 0.395 0.149 0.115
As: 0.395 0.851 0.885
As: 0.605 0.149 0.885
As: 0.605 0.851 0.115
As: 0.607 0.393 0.607
As: 0.607 0.607 0.393
As: 0.615 0.351 0.105
As: 0.615 0.649 0.895
As: 0.649 0.105 0.385
As: 0.649 0.895 0.615
As: 0.851 0.115 0.605
As: 0.851 0.885 0.395
As: 0.885 0.395 0.851
As: 0.885 0.605 0.149
As: 0.893 0.107 0.107
As: 0.893 0.893 0.893
As: 0.895 0.385 0.351
As: 0.895 0.615 0.649

[3]
Crystalline K2NbCuS2 at its relaxed geometry. Source: Materials Project, functional PBE.

- Total energy: -26.05 eV/f.u.
- Space group: Fddd, No. 70
- M_tot: 0.136 μB/f.u.
- Formation energy: -0.394 eV per atom

Cell lengths 18.556, 17.767, 6.710 Å; angles 86.07, 72.79, 21.15 degrees
Element x y z (fractional)
K: 0.011 0.817 0.502
K: 0.170 0.502 0.817
K: 0.183 0.989 0.830
K: 0.498 0.830 0.989
K: 0.502 0.170 0.011
K: 0.817 0.011 0.170
K: 0.830 0.498 0.183
K: 0.989 0.183 0.498
Nb: 0.000 0.500 0.500
Nb: 0.500 0.000 0.500
Nb: 0.500 0.500 0.000
Nb: 0.500 0.500 0.500
Cu: 0.000 0.000 0.000
Cu: 0.000 0.000 0.500
Cu: 0.000 0.500 0.000
Cu: 0.500 0.000 0.000
S: 0.012 0.358 0.471
S: 0.341 0.529 0.642
S: 0.358 0.012 0.659
S: 0.471 0.659 0.012
S: 0.529 0.341 0.988
S: 0.642 0.988 0.341
S: 0.659 0.471 0.358
S: 0.988 0.642 0.529

[4]
Crystalline K2CuSb at its relaxed geometry. Source: Materials Project, functional PBE.

- Total energy: -11.70 eV/f.u.
- Space group: Cmcm, No. 63
- Formation energy: -0.361 eV per atom

Cell lengths 6.632, 6.632, 6.258 Å; angles 90.00, 90.00, 73.80 degrees
Element x y z (fractional)
K: 0.015 0.324 0.250
K: 0.324 0.015 0.750
K: 0.676 0.985 0.250
K: 0.985 0.676 0.750
Cu: 0.500 0.500 0.000
Cu: 0.500 0.500 0.500
Sb: 0.251 0.749 0.250
Sb: 0.749 0.251 0.750

[5]
Crystalline CaSnP6H12O12 at its relaxed geometry. Source: Materials Project, functional PBE.

- Total energy: -178.10 eV/f.u.
- Space group: R-3, No. 148
- M_tot: 0.003 μB/f.u.
- Formation energy: -1.493 eV per atom

Cell lengths 7.783, 7.783, 7.783 Å; angles 102.81, 102.81, 102.81 degrees
Element x y z (fractional)
Ca: 0.000 0.000 0.000
Sn: 0.500 0.500 0.500
P: 0.095 0.492 0.254
P: 0.254 0.095 0.492
P: 0.492 0.254 0.095
P: 0.508 0.746 0.905
P: 0.746 0.905 0.508
P: 0.905 0.508 0.746
H: 0.031 0.420 0.687
H: 0.182 0.201 0.614
H: 0.201 0.614 0.182
H: 0.313 0.969 0.580
H: 0.386 0.818 0.799
H: 0.420 0.687 0.031
H: 0.580 0.313 0.969
H: 0.614 0.182 0.201
H: 0.687 0.031 0.420
H: 0.799 0.386 0.818
H: 0.818 0.799 0.386
H: 0.969 0.580 0.313
O: 0.004 0.691 0.887
O: 0.113 0.996 0.309
O: 0.225 0.491 0.439
O: 0.309 0.113 0.996
O: 0.439 0.225 0.491
O: 0.491 0.439 0.225
O: 0.509 0.561 0.775
O: 0.561 0.775 0.509
O: 0.691 0.887 0.004
O: 0.775 0.509 0.561
O: 0.887 0.004 0.691
O: 0.996 0.309 0.113

[6]
Crystalline CsAlSi5O12 at its relaxed geometry. Source: Materials Project, functional PBE.

- Total energy: -144.50 eV/f.u.
- Space group: Cc, No. 9
- M_tot: 0.000 μB/f.u.
- Formation energy: -3.242 eV per atom

Cell lengths 7.431, 7.431, 17.354 Å; angles 90.16, 90.16, 139.83 degrees
Element x y z (fractional)
Cs: 0.205 0.795 0.500
Cs: 0.795 0.205 0.000
Al: 0.824 0.971 0.426
Al: 0.971 0.824 0.926
Si: 0.285 0.764 0.216
Si: 0.285 0.768 0.822
Si: 0.351 0.401 0.856
Si: 0.363 0.413 0.181
Si: 0.401 0.351 0.356
Si: 0.413 0.363 0.681
Si: 0.764 0.285 0.716
Si: 0.768 0.285 0.322
Si: 0.829 0.979 0.613
Si: 0.979 0.829 0.113
O: 0.060 0.588 0.750
O: 0.064 0.583 0.286
O: 0.106 0.143 0.912
O: 0.139 0.148 0.121
O: 0.143 0.106 0.412
O: 0.148 0.139 0.621
O: 0.180 0.826 0.151
O: 0.196 0.830 0.891
O: 0.287 0.290 0.766
O: 0.290 0.287 0.266
O: 0.320 0.598 0.171
O: 0.335 0.610 0.861
O: 0.559 0.652 0.380
O: 0.583 0.064 0.786
O: 0.588 0.060 0.250
O: 0.598 0.320 0.671
O: 0.606 0.684 0.660
O: 0.610 0.335 0.361
O: 0.652 0.559 0.880
O: 0.684 0.606 0.160
O: 0.740 0.922 0.524
O: 0.826 0.180 0.651
O: 0.830 0.196 0.391
O: 0.922 0.740 0.024